14
Lattice="1.5591 -5.1761 0.0000 1.5591 5.1761 0.0000 0.0000 0.0000 10.3365" Properties=species:S:1:pos:R:3 comment="PBE with a Hubbard U MgMo2O4, relaxed" crystal_system=orthorhombic de_polymorph_ev_per_atom=0.121 pbc="T T T"
Mg 1.5591 4.0585 7.7524
Mg 1.5591 -4.0585 2.5841
Mo 1.5591 1.3702 5.9308
Mo 1.5591 1.3702 9.5740
Mo 1.5591 -1.3702 0.7626
Mo 1.5591 -1.3702 4.4057
O 0.0000 0.0000 0.0000
O 0.0000 0.0000 5.1683
O 1.5591 2.3644 1.2027
O 1.5591 2.3644 3.9655
O 1.5591 0.2361 7.7524
O 1.5591 -0.2361 2.5841
O 1.5591 -2.3644 6.3710
O 1.5591 -2.3644 9.1338

=====

14
Lattice="0.0000 4.4948 4.4948 4.4948 0.0000 4.4948 4.4948 4.4948 0.0000" Properties=species:S:1:pos:R:3 comment="PBE with a Hubbard U MgMo2O4, relaxed" crystal_system=cubic de_polymorph_ev_per_atom=0.000 pbc="T T T"
Mg 1.1237 1.1237 1.1237
Mg 7.8659 7.8659 7.8659
Mo 4.4948 2.2474 2.2474
Mo 2.2474 4.4948 2.2474
Mo 2.2474 2.2474 4.4948
Mo 4.4948 4.4948 4.4948
O 2.3105 2.3105 2.3105
O 4.4317 4.4317 2.3105
O 4.4317 2.3105 4.4317
O 6.6791 4.5579 4.5579
O 2.3105 4.4317 4.4317
O 4.5579 6.6791 4.5579
O 4.5579 4.5579 6.6791
O 6.6791 6.6791 6.6791

=====

14
Lattice="5.2832 -3.2264 0.0000 5.2832 3.2264 0.0000 -3.3583 0.0000 5.2273" Properties=species:S:1:pos:R:3 comment="PBE with a Hubbard U MgMo2O4, relaxed" crystal_system=monoclinic de_polymorph_ev_per_atom=0.016 pbc="T T T"
Mg 0.0177 0.0000 1.9765
Mg 7.1903 0.0000 3.2508
Mo 2.6416 1.6132 0.0000
Mo 2.6416 -1.6132 0.0000
Mo 5.2832 0.0000 0.0000
Mo 3.6040 0.0000 2.6136
O 0.1024 0.0000 4.0012
O 1.8981 0.0000 1.2601
O 4.4059 1.5432 1.2905
O 2.8021 1.5432 3.9368
O 4.4059 -1.5432 1.2905
O 2.8021 -1.5432 3.9368
O 5.3099 0.0000 3.9672
O 7.1056 0.0000 1.2261

=====

42
Lattice="6.3398 0.0000 0.0000 3.1345 5.5733 0.0000 0.2492 0.3696 15.3627" Properties=species:S:1:pos:R:3 comment="PBE with a Hubbard U MgMo2O4, relaxed" crystal_system=triclinic de_polymorph_ev_per_atom=0.071 pbc="T T T"
Mg 0.0000 0.0000 0.0000
Mg 0.2146 0.2838 11.6165
Mg 3.2398 2.0506 5.1086
Mg 6.3302 3.7553 0.6476
Mg 6.5188 3.9763 10.2986
Mg 6.4364 0.1891 5.7326
Mo 1.7904 3.1084 13.5355
Mo 1.7631 1.1663 8.3576
Mo 3.3336 3.9587 8.3609
Mo 4.7394 4.8029 3.2359
Mo 3.1693 1.9018 1.4158
Mo 3.3686 2.1350 10.9493
Mo 4.9855 3.1084 13.5361
Mo 6.5404 5.8572 13.5117
Mo 6.4268 3.9121 6.5252
Mo 4.9408 1.1651 8.3638
Mo 7.9345 4.8029 3.2647
Mo 6.3598 1.9941 3.2425
O 0.1861 0.2297 9.5355
O 1.8394 2.9647 9.5880
O 3.1772 4.0209 4.5223
O 1.5571 1.0524 4.4522
O 1.8787 1.2897 12.2742
O 3.3849 3.8872 12.2331
O 4.7576 4.9857 7.0618
O 3.3382 2.0975 7.1803
O 3.3926 2.1042 14.6644
O 5.0485 4.9052 14.7489
O 4.8259 3.0235 2.0552
O 3.3530 0.3607 9.6108
O 4.8652 2.9833 9.5702
O 6.3482 5.4527 1.8919
O 6.2952 3.8407 4.3712
O 4.8935 1.3079 12.2497
O 6.5558 4.0166 12.3303
O 4.8976 1.0213 4.5108
O 6.5621 2.3442 14.8120
O 8.0664 4.9180 14.7226
O 8.1859 4.9440 7.1870
O 6.5291 1.9286 7.0757
O 7.8596 3.0512 2.0473
O 6.3620 0.1526 2.0709

=====

14
Lattice="3.1984 1.8466 5.1284 -3.1984 1.8466 5.1284 0.0000 -3.6932 5.1284" Properties=species:S:1:pos:R:3 comment="PBE with a Hubbard U MgMo2O4, relaxed" crystal_system=trigonal de_polymorph_ev_per_atom=0.100 pbc="T T T"
Mg 0.0000 0.0000 0.0000
Mg 0.0000 0.0000 5.7650
Mo -1.6077 -0.9282 12.7456
Mo 0.0000 0.0000 9.3144
Mo 1.6077 -0.9282 12.7456
Mo 0.0000 1.8564 12.7456
O -1.7338 -1.0010 8.9054
O 0.0000 -1.9667 6.3934
O -1.7032 0.9833 6.3934
O 0.0000 0.0000 3.6965
O 0.0000 0.0000 11.6659
O 1.7338 -1.0010 8.9054
O 0.0000 2.0021 8.9054
O 1.7032 0.9834 6.3934

=====

42
Lattice="5.5613 -3.1662 0.0000 5.5613 3.1662 0.0000 -0.2835 0.0000 15.4633" Properties=species:S:1:pos:R:3 comment="PBE with a Hubbard U MgMo2O4, relaxed" crystal_system=monoclinic de_polymorph_ev_per_atom=0.035 pbc="T T T"
Mg 0.0000 0.0000 0.0000
Mg 11.0170 0.0000 5.7296
Mg -0.1629 0.0000 9.5958
Mg 3.5412 0.0000 10.8842
Mg 7.3876 0.0000 0.6408
Mg 7.3271 0.0000 4.4124
Mo 2.6482 1.5842 7.6610
Mo 1.7548 0.0000 2.5007
Mo 4.5735 1.5895 2.4781
Mo 3.4234 0.0000 14.7168
Mo 3.6143 0.0000 5.0645
Mo 6.2915 1.5843 12.8368
Mo 2.6482 -1.5842 7.6610
Mo 5.4298 0.0000 7.6619
Mo 4.5735 -1.5895 2.4781
Mo 7.2545 0.0000 10.2511
Mo 6.2915 -1.5843 12.8368
Mo 9.0736 0.0000 12.8447
O -0.2088 0.0000 11.6564
O 2.7666 1.4989 3.7384
O 1.3881 0.0000 14.1922
O 4.5172 1.6449 14.0318
O 4.4527 1.5068 6.4200
O 1.8489 0.0000 6.3891
O 6.3673 1.6683 1.2506
O 3.5639 0.0000 1.3451
O 3.5813 0.0000 8.8470
O 6.4060 1.5010 8.9186
O 5.3657 0.0000 3.7632
O 2.7666 -1.4989 3.7384
O 8.1046 1.5014 11.5941
O 5.4972 0.0000 11.5652
O 4.4527 -1.5068 6.4200
O 7.2762 0.0000 6.4802
O 7.2187 0.0000 14.0180
O 4.5172 -1.6449 14.0318
O 9.0076 0.0000 8.9461
O 6.4060 -1.5010 8.9186
O 6.3673 -1.6683 1.2506
O 9.3599 0.0000 1.1915
O 8.1046 -1.5014 11.5941
O 11.0414 0.0000 3.6807

=====

36
Lattice="4.3690 2.5225 7.0371 -4.3690 2.5225 7.0371 0.0000 -5.0449 7.0371" Properties=species:S:1:pos:R:3 comment="PBE with a Hubbard U MgTiMoP3O12, relaxed" crystal_system=trigonal energy_ev_per_cell=-270.425 pbc="T T T"
Mg 0.0000 0.0000 0.0000
Mg 0.0000 0.0000 10.5557
Ti 0.0000 0.0000 7.4958
Ti 0.0000 0.0000 18.0515
Mo 0.0000 0.0000 3.0228
Mo 0.0000 0.0000 13.5785
P -1.7698 -2.4664 8.8199
P -3.1180 0.2434 12.3385
P -1.2511 2.7658 8.8199
P 1.3482 -2.8220 12.3384
P 3.0208 -0.2995 8.8199
P 1.7698 2.5786 12.3385
O -0.8546 -3.7122 8.6401
O -3.7668 -1.1632 12.5400
O -1.6490 -0.0020 6.5584
O -3.5951 0.9067 11.0784
O -0.8760 -1.2012 9.0214
O -2.7876 2.5962 8.6401
O 0.8263 -1.4271 6.5584
O -1.5814 0.0737 12.1587
O 1.0123 -3.5668 11.0784
O -0.6022 1.3593 9.0214
O -0.7739 -1.6157 14.5970
O 0.8228 1.4291 6.5584
O 0.7269 -1.4064 12.1587
O 1.4783 -0.1581 9.0214
O -0.8263 -1.4271 17.1141
O -1.0123 1.4781 14.5970
O 2.8908 -2.6805 12.5400
O 0.8546 1.3327 12.1587
O -0.8228 1.4291 17.1141
O 3.6422 1.1161 8.6401
O 1.7862 0.1376 14.5970
O 0.8760 3.8438 12.5400
O 2.5828 2.6601 11.0784
O 1.6490 -0.0020 17.1141